First-principles (meta-GGA r2SCAN) data for crystalline Cs2HgBr4 at its relaxed geometry, as listed in Materials Project.

Unit cell a=7.9777 b=10.3899 c=14.0920 alpha=90.00 beta=90.00 gamma=90.00
With the nearest neighbours (Å) after each atom.
Atoms (fractional coordinates):
Br1 0.4817 0.1728 0.3473  1 Hg 2.64
Br2 0.9817 0.8272 0.6527  1 Hg 2.64
Br3 0.2500 0.4690 0.5963  1 Hg 2.61
Br4 0.5183 0.3272 0.8473  1 Hg 2.64
Br5 0.7500 0.5310 0.4037  1 Hg 2.61
Br6 0.0183 0.6728 0.1527  1 Hg 2.64
Br7 0.4817 0.6728 0.1527  1 Hg 2.64
Br8 0.7500 0.6787 0.9032  1 Hg 2.67
Br9 0.2500 0.3213 0.0968  1 Hg 2.67
Br10 0.2500 0.9690 0.9037  1 Hg 2.61
Br11 0.0183 0.1728 0.3473  1 Hg 2.64
Br12 0.7500 0.0310 0.0963  1 Hg 2.61
Br13 0.5183 0.8272 0.6527  1 Hg 2.64
Br14 0.2500 0.8213 0.4032  1 Hg 2.67
Br15 0.7500 0.1787 0.5968  1 Hg 2.67
Br16 0.9817 0.3272 0.8473  1 Hg 2.64
Hg1 0.2500 0.7190 0.5771  4 Br 2.61-2.67
Hg2 0.7500 0.7810 0.0771  4 Br 2.61-2.67
Hg3 0.7500 0.2810 0.4229  4 Br 2.61-2.67
Hg4 0.2500 0.2190 0.9229  4 Br 2.61-2.67
Cs1 0.2500 0.9822 0.1691  7 Br 3.67-3.74
Cs2 0.2500 0.6139 0.9195  8 Br 3.70-4.05, 1 Hg 4.10
Cs3 0.7500 0.8861 0.4195  8 Br 3.70-4.05, 1 Hg 4.10
Cs4 0.2500 0.1139 0.5805  8 Br 3.70-4.05, 1 Hg 4.10
Cs5 0.7500 0.3861 0.0805  8 Br 3.70-4.05, 1 Hg 4.10
Cs6 0.7500 0.5178 0.6691  7 Br 3.67-3.74
Cs7 0.7500 0.0178 0.8309  7 Br 3.67-3.74
Cs8 0.2500 0.4822 0.3309  7 Br 3.67-3.74

Output
**Excess energy over the best structure of this formula in the dataset**: 2 meV per atom
**V**: 41.7 A^3/atom
**Symmetry**: No. 62
**Total magnetization**: 0.00 μB per formula unit
**VASP energy**: -650.6 eV per cell